Na3Eu2Ge2S8 | PBE | relaxed

total magnetic moment: 39.00 μB/cell
formation energy: -1.396 eV/atom
raw total energy: -5.58 eV/atom

Cell and atoms, written as POSCAR:
```
Na3Eu2Ge2S8
1.0
6.8856 0.0000 0.0000
-2.3542 13.6714 0.0000
-2.2374 -6.8443 11.8616
Na Eu Ge S
9 6 6 24
Direct
0.0000 0.0000 0.0000
0.0176 0.6695 0.9032
0.3829 0.9392 0.1219
0.4430 0.5128 0.8258
0.4753 0.0461 0.8881
0.5175 0.1365 0.4394
0.8685 0.3491 0.7105
0.9433 0.0598 0.2858
0.9746 0.1255 0.8083
0.0501 0.3144 0.2050
0.2048 0.7449 0.2347
0.3338 0.7196 0.6409
0.5474 0.4341 0.0727
0.7044 0.4674 0.5142
0.8349 0.8767 0.4869
0.0103 0.4088 0.9866
0.1941 0.3997 0.5403
0.3833 0.9665 0.5503
0.5118 0.2194 0.1749
0.6948 0.7740 0.1661
0.8826 0.7810 0.7316
0.1100 0.5346 0.6831
0.1678 0.9662 0.4101
0.1919 0.8410 0.8529
0.2008 0.3487 0.8684
0.2073 0.5043 0.1669
0.2148 0.9902 0.6783
0.2838 0.2091 0.0331
0.2917 0.4860 0.4449
0.3099 0.1749 0.2664
0.3968 0.6781 0.0378
0.4005 0.7849 0.4644
0.4522 0.3461 0.5995
0.6104 0.9162 0.3010
0.6661 0.6430 0.7336
0.6959 0.0799 0.6031
0.7017 0.0987 0.1151
0.7033 0.3995 0.2706
0.7257 0.9156 0.7675
0.7905 0.6789 0.2517
0.7915 0.2677 0.9841
0.8164 0.5069 0.9504
0.8954 0.2710 0.4438
0.9009 0.6971 0.5518
0.9538 0.8364 0.1113
```